Entry 1:
{"formula": "DySi2Pt2", "functional": "PBE-GGA", "state": "relaxed", "mass_density_g_cm3": 11.7, "energy_ev_per_cell": -66.06, "lattice": [[4.1874, 0.0000, 0.0000], [0.0000, 4.1874, 0.0000], [0.0000, 0.0000, 9.8794]], "species": ["Dy", "Dy", "Pt", "Pt", "Pt", "Pt", "Si", "Si", "Si", "Si"], "frac_coords": [[0.5000, 0.0000, 0.7458], [0.0000, 0.5000, 0.2542], [0.5000, 0.5000, 0.0000], [0.0000, 0.5000, 0.6240], [0.5000, 0.0000, 0.3760], [0.0000, 0.0000, 0.0000], [0.5000, 0.0000, 0.1347], [0.5000, 0.5000, 0.5000], [0.0000, 0.5000, 0.8653], [0.0000, 0.0000, 0.5000]]}

Entry 2:
{"formula": "DySi2Pt2", "functional": "PBE-GGA", "state": "relaxed", "mass_density_g_cm3": 11.3, "energy_ev_per_cell": -32.50, "total_magnetization_mub_per_cell": 0.0, "lattice": [[-2.1107, 2.1107, 5.0127], [2.1107, -2.1107, 5.0127], [2.1107, 2.1107, -5.0127]], "species": ["Pt", "Pt", "Dy", "Si", "Si"], "frac_coords": [[0.3662, 0.3662, 0.0000], [0.6338, 0.6338, 0.0000], [0.0000, 0.0000, 0.0000], [0.7500, 0.2500, 0.5000], [0.2500, 0.7500, 0.5000]]}

Entry 3:
{"formula": "DySnPt", "functional": "PBE-GGA", "state": "relaxed", "mass_density_g_cm3": 12.0, "energy_ev_per_cell": -53.87, "lattice": [[0.5461, -0.5775, -3.9301], [2.9943, 6.8976, -0.5975], [4.4323, -5.9200, 1.4859]], "species": ["Sn", "Sn", "Sn", "Dy", "Dy", "Dy", "Pt", "Pt", "Pt"], "frac_coords": [[0.0000, 0.2578, 0.2578], [0.0000, 0.7422, 0.0000], [0.0000, 0.0000, 0.7422], [0.5000, 0.5942, 0.5942], [0.5000, 0.4058, 0.0000], [0.5000, 0.0000, 0.4058], [0.5000, 0.0000, 0.0000], [0.0000, 0.6667, 0.3333], [0.0000, 0.3333, 0.6667]]}

Entry 4:
{"formula": "Dy7Te2Pt2", "functional": "PBE-GGA", "state": "relaxed", "mass_density_g_cm3": 9.8, "energy_ev_per_cell": -61.84, "lattice": [[-1.9800, 4.8319, 7.8622], [1.9800, -4.8319, 7.8622], [1.9800, 4.8319, -7.8622]], "species": ["Dy", "Dy", "Dy", "Dy", "Dy", "Dy", "Dy", "Pt", "Pt", "Te", "Te"], "frac_coords": [[0.3070, 0.6839, 0.6231], [0.2870, 0.8707, 0.4162], [0.5455, 0.1293, 0.4162], [0.0002, 0.0000, 0.0002], [0.9391, 0.3161, 0.6231], [0.9109, 0.6433, 0.2675], [0.6242, 0.3567, 0.2675], [0.6885, 0.7623, 0.9263], [0.1640, 0.2377, 0.9263], [0.2615, 0.5000, 0.7615], [0.6628, 0.0000, 0.6628]]}

Entry 5:
{"formula": "Dy2ZnPt", "functional": "PBE-GGA", "state": "relaxed", "mass_density_g_cm3": 11.1, "energy_ev_per_cell": -19.72, "total_magnetization_mub_per_cell": 0.0, "lattice": [[0.0000, 3.5279, 3.5279], [3.5279, 0.0000, 3.5279], [3.5279, 3.5279, 0.0000]], "species": ["Dy", "Dy", "Zn", "Pt"], "frac_coords": [[0.7500, 0.7500, 0.7500], [0.2500, 0.2500, 0.2500], [0.0000, 0.0000, 0.0000], [0.5000, 0.5000, 0.5000]]}

Entry 6:
{"formula": "DyPu3", "functional": "PBE-GGA", "state": "relaxed", "mass_density_g_cm3": 13.1, "energy_ev_per_cell": -46.65, "total_magnetization_mub_per_cell": 17.8, "lattice": [[-2.4155, 2.4155, 4.8424], [2.4155, -2.4155, 4.8424], [2.4155, 2.4155, -4.8424]], "species": ["Pu", "Pu", "Pu", "Dy"], "frac_coords": [[0.2500, 0.7500, 0.5000], [0.7500, 0.2500, 0.5000], [0.5000, 0.5000, 0.0000], [0.0000, 0.0000, 0.0000]]}

Entry 7:
{"formula": "DyRe2", "functional": "PBE-GGA", "state": "relaxed", "mass_density_g_cm3": 15.7, "energy_ev_per_cell": -120.65, "lattice": [[-3.2324, 0.6889, -4.3159], [-1.1027, -3.8955, 3.6275], [-4.9466, 5.6969, 4.6141]], "species": ["Re", "Re", "Re", "Re", "Re", "Re", "Re", "Re", "Dy", "Dy", "Dy", "Dy"], "frac_coords": [[0.1715, 0.3431, 0.7500], [0.0000, 0.0000, 0.5000], [0.3431, 0.1715, 0.2500], [0.0000, 0.0000, 0.0000], [0.1715, 0.8285, 0.7500], [0.8285, 0.6569, 0.2500], [0.8285, 0.1715, 0.2500], [0.6569, 0.8285, 0.7500], [0.6667, 0.3333, 0.9373], [0.3333, 0.6667, 0.4373], [0.6667, 0.3333, 0.5627], [0.3333, 0.6667, 0.0627]]}

Entry 8:
{"formula": "DyThRe4", "functional": "PBE-GGA", "state": "relaxed", "mass_density_g_cm3": 16.2, "energy_ev_per_cell": -125.40, "total_magnetization_mub_per_cell": 0.0, "lattice": [[2.7112, -4.6959, 0.0000], [2.7112, 4.6959, 0.0000], [0.0000, 0.0000, 9.1715]], "species": ["Dy", "Dy", "Re", "Re", "Re", "Re", "Re", "Re", "Re", "Re", "Th", "Th"], "frac_coords": [[0.3333, 0.6667, 0.4379], [0.6667, 0.3333, 0.5621], [0.0000, 0.0000, 0.0000], [0.3402, 0.1701, 0.2582], [0.6598, 0.8299, 0.7418], [0.8299, 0.6598, 0.2582], [0.1701, 0.8299, 0.7418], [0.1701, 0.3402, 0.7418], [0.8299, 0.1701, 0.2582], [0.0000, 0.0000, 0.5000], [0.3333, 0.6667, 0.0608], [0.6667, 0.3333, 0.9392]]}